# 1
A geometry-optimized Ba2NaNi3O6 structure. Source: the Materials Project, functional PBE+U.

Lattice parameters (Å, degrees): 9.3241 8.4478 7.0340 73.42 60.27 46.31
Fractional positions:
Ba: 0.2500 0.2500 0.2500
Ba: 0.7500 0.7500 0.7500
Ba: 0.7651 0.2349 0.7651
Ba: 0.2349 0.7651 0.2349
Na: 0.3360 0.3360 0.6640
Na: 0.6640 0.6640 0.3360
Ni: 0.2878 0.0022 0.7122
Ni: 0.9978 0.7122 0.0022
Ni: 0.0022 0.2878 0.9978
Ni: 0.7122 0.9978 0.2878
Ni: 0.7006 0.2994 0.2994
Ni: 0.2994 0.7006 0.7006
O: 0.7013 0.4875 0.0780
O: 0.7332 0.0780 0.4875
O: 0.0780 0.7332 0.7013
O: 0.4875 0.7013 0.7332
O: 0.2987 0.5125 0.9220
O: 0.2668 0.9220 0.5125
O: 0.3049 0.0815 0.9185
O: 0.5125 0.2987 0.2668
O: 0.0815 0.3049 0.6951
O: 0.9185 0.6951 0.3049
O: 0.6951 0.9185 0.0815
O: 0.9220 0.2668 0.2987

Values from the calculation:
* symmetry: Fmmm



# 2
A geometry-optimized BaNaPrWO6 structure. Source: the Materials Project, functional PBE+U.

Lattice parameters (Å, degrees): 6.0933 6.0933 6.0933 60.00 60.00 60.00
Fractional positions:
Ba: 0.7500 0.7500 0.7500
Na: 0.2500 0.2500 0.2500
Pr: 0.0000 0.0000 0.0000
W: 0.5000 0.5000 0.5000
O: 0.7270 0.2730 0.2730
O: 0.2730 0.7270 0.7270
O: 0.7270 0.2730 0.7270
O: 0.2730 0.7270 0.2730
O: 0.7270 0.7270 0.2730
O: 0.2730 0.2730 0.7270

Values from the calculation:
* distance to the lowest polymorph of the same formula: 0.017 eV per atom
* symmetry: F-43m



# 3
A geometry-optimized BaNaPrWO6 structure. Source: the Materials Project, functional PBE+U.

Lattice parameters (Å, degrees): 5.8417 5.8417 5.8417 60.00 60.00 60.00
Fractional positions:
Ba: 0.2500 0.2500 0.2500
Na: 0.0000 0.0000 0.0000
Pr: 0.7500 0.7500 0.7500
W: 0.5000 0.5000 0.5000
O: 0.7349 0.2651 0.2651
O: 0.2651 0.7349 0.7349
O: 0.7349 0.2651 0.7349
O: 0.2651 0.7349 0.2651
O: 0.7349 0.7349 0.2651
O: 0.2651 0.2651 0.7349

Values from the calculation:
* distance to the lowest polymorph of the same formula: 0.115 eV per atom
* symmetry: F-43m



# 4
A geometry-optimized BaNaPrWO6 structure. Source: the Materials Project, functional PBE+U.

Lattice parameters (Å, degrees): 8.5688 8.5247 8.5372 90.00 90.00 90.00
Fractional positions:
Ba: 0.0000 0.0000 0.0000
Ba: 0.5000 0.5000 0.5000
Ba: 0.0000 0.5000 0.5000
Ba: 0.5000 0.0000 0.0000
Na: 0.5000 0.0000 0.5000
Na: 0.5000 0.5000 0.0000
Na: 0.0000 0.5000 0.0000
Na: 0.0000 0.0000 0.5000
Pr: 0.7500 0.7500 0.7500
Pr: 0.2500 0.2500 0.7500
Pr: 0.2500 0.7500 0.2500
Pr: 0.7500 0.2500 0.2500
W: 0.2500 0.2500 0.2500
W: 0.7500 0.7500 0.2500
W: 0.7500 0.2500 0.7500
W: 0.2500 0.7500 0.7500
O: 0.0250 0.2197 0.2878
O: 0.9750 0.7803 0.2878
O: 0.9750 0.2197 0.7122
O: 0.0250 0.7803 0.7122
O: 0.2717 0.0235 0.2149
O: 0.2717 0.9765 0.7851
O: 0.7283 0.9765 0.2149
O: 0.7283 0.0235 0.7851
O: 0.2078 0.2732 0.0251
O: 0.7922 0.2732 0.9749
O: 0.2078 0.7268 0.9749
O: 0.7922 0.7268 0.0251
O: 0.4750 0.2803 0.2122
O: 0.5250 0.7197 0.2122
O: 0.5250 0.2803 0.7878
O: 0.4750 0.7197 0.7878
O: 0.2283 0.4765 0.2851
O: 0.2283 0.5235 0.7149
O: 0.7717 0.5235 0.2851
O: 0.7717 0.4765 0.7149
O: 0.2922 0.2268 0.4749
O: 0.7078 0.2268 0.5251
O: 0.2922 0.7732 0.5251
O: 0.7078 0.7732 0.4749

Values from the calculation:
* distance to the lowest polymorph of the same formula: 0.000 eV per atom
* symmetry: Pnnn



# 5
A geometry-optimized Ba6Na2V2Sb2O17 structure. Source: the Materials Project, functional PBE+U.

Lattice parameters (Å, degrees): 6.0079 6.0079 30.4496 90.00 90.00 120.00
Fractional positions:
Ba: 0.3333 0.6667 0.1778
Ba: 0.6667 0.3333 0.8222
Ba: 0.6667 0.3333 0.6778
Ba: 0.3333 0.6667 0.3222
Ba: 0.0000 0.0000 0.0000
Ba: 0.0000 0.0000 0.5000
Ba: 0.3333 0.6667 0.5913
Ba: 0.6667 0.3333 0.4087
Ba: 0.6667 0.3333 0.0913
Ba: 0.3333 0.6667 0.9087
Ba: 0.0000 0.0000 0.2500
Ba: 0.0000 0.0000 0.7500
Na: 0.0000 0.0000 0.1246
Na: 0.0000 0.0000 0.8754
Na: 0.0000 0.0000 0.6246
Na: 0.0000 0.0000 0.3754
V: 0.3333 0.6667 0.0522
V: 0.6667 0.3333 0.9478
V: 0.6667 0.3333 0.5522
V: 0.3333 0.6667 0.4478
Sb: 0.3333 0.6667 0.7024
Sb: 0.6667 0.3333 0.2976
Sb: 0.6667 0.3333 0.2024
Sb: 0.3333 0.6667 0.7976
O: 0.3333 0.6667 0.5047
O: 0.6667 0.3333 0.4953
O: 0.6667 0.3333 0.0047
O: 0.3333 0.6667 0.9953
O: 0.1728 0.3456 0.6699
O: 0.8272 0.6544 0.3301
O: 0.6544 0.8272 0.6699
O: 0.8272 0.6544 0.1699
O: 0.3456 0.1728 0.3301
O: 0.1728 0.3456 0.8301
O: 0.1728 0.8272 0.6699
O: 0.3456 0.1728 0.1699
O: 0.8272 0.1728 0.3301
O: 0.6544 0.8272 0.8301
O: 0.8272 0.1728 0.1699
O: 0.1728 0.8272 0.8301
O: 0.5184 0.0368 0.2500
O: 0.4816 0.9632 0.7500
O: 0.9632 0.4816 0.2500
O: 0.0368 0.5184 0.7500
O: 0.5184 0.4816 0.2500
O: 0.4816 0.5184 0.7500
O: 0.1762 0.3524 0.0726
O: 0.8238 0.6476 0.9274
O: 0.6476 0.8238 0.0726
O: 0.8238 0.6476 0.5726
O: 0.3524 0.1762 0.9274
O: 0.1762 0.3524 0.4274
O: 0.1762 0.8238 0.0726
O: 0.3524 0.1762 0.5726
O: 0.8238 0.1762 0.9274
O: 0.6476 0.8238 0.4274
O: 0.8238 0.1762 0.5726
O: 0.1762 0.8238 0.4274

Values from the calculation:
* symmetry: P6_3/mmc



# 6
A geometry-optimized BaNaYWO6 structure. Source: the Materials Project, functional PBE+U.

Lattice parameters (Å, degrees): 5.9493 5.9493 5.9493 60.00 60.00 60.00
Fractional positions:
Ba: 0.2500 0.2500 0.2500
Na: 0.7500 0.7500 0.7500
Y: 0.5000 0.5000 0.5000
W: 0.0000 0.0000 0.0000
O: 0.7675 0.2325 0.2325
O: 0.2325 0.7675 0.7675
O: 0.7675 0.2325 0.7675
O: 0.2325 0.7675 0.2325
O: 0.7675 0.7675 0.2325
O: 0.2325 0.2325 0.7675

Values from the calculation:
* symmetry: F-43m



# 7
A geometry-optimized Ba3Nb2NiO9 structure. Source: the Materials Project, functional PBE+U.

Lattice parameters (Å, degrees): 5.8449 20.2458 7.1799 90.00 90.00 90.00
Fractional positions:
Ba: 0.0000 0.0000 0.0000
Ba: 0.5000 0.2500 0.0000
Ba: 0.0000 0.5000 0.0000
Ba: 0.5000 0.7500 0.0000
Ba: 0.5000 0.0834 0.3349
Ba: 0.0000 0.3333 0.3348
Ba: 0.5000 0.5833 0.3349
Ba: 0.0000 0.8333 0.3349
Ba: 0.0000 0.1667 0.6651
Ba: 0.5000 0.4167 0.6652
Ba: 0.0000 0.6666 0.6651
Ba: 0.5000 0.9167 0.6651
Nb: 0.5000 0.0833 0.8214
Nb: 0.0000 0.3333 0.8214
Nb: 0.5000 0.5834 0.8213
Nb: 0.0000 0.8333 0.8213
Nb: 0.0000 0.1666 0.1787
Nb: 0.5000 0.4167 0.1786
Nb: 0.0000 0.6667 0.1786
Nb: 0.5000 0.9167 0.1787
Ni: 0.5000 0.2503 0.5003
Ni: 0.0000 0.4997 0.4997
Ni: 0.0000 0.0003 0.5002
Ni: 0.5000 0.7497 0.4998
O: 0.2500 0.1250 0.0000
O: 0.7500 0.3750 0.0000
O: 0.2500 0.6250 0.0000
O: 0.7500 0.8750 0.0000
O: 0.7500 0.1250 0.0000
O: 0.2500 0.3750 0.0000
O: 0.7500 0.6250 0.0000
O: 0.2500 0.8750 0.0000
O: 0.5000 0.0000 0.0000
O: 0.0000 0.2500 0.0000
O: 0.5000 0.5000 0.0000
O: 0.0000 0.7500 0.0000
O: 0.5000 0.1646 0.6736
O: 0.0000 0.4145 0.6737
O: 0.5000 0.6645 0.6737
O: 0.0000 0.9145 0.6737
O: 0.0000 0.0855 0.3263
O: 0.5000 0.3355 0.3263
O: 0.0000 0.5854 0.3264
O: 0.5000 0.8355 0.3263
O: 0.7436 0.0428 0.6737
O: 0.2435 0.2928 0.6737
O: 0.7436 0.5427 0.6737
O: 0.2436 0.7927 0.6736
O: 0.7564 0.2073 0.3263
O: 0.2565 0.4572 0.3263
O: 0.7564 0.7072 0.3263
O: 0.2564 0.9573 0.3264
O: 0.2564 0.0428 0.6737
O: 0.7565 0.2928 0.6737
O: 0.2564 0.5427 0.6737
O: 0.7564 0.7927 0.6736
O: 0.2436 0.2073 0.3263
O: 0.7435 0.4572 0.3263
O: 0.2436 0.7072 0.3263
O: 0.7436 0.9573 0.3264

Values from the calculation:
* symmetry: P2_1/m



# 8
A geometry-optimized BaNb2V2O11 structure. Source: the Materials Project, functional PBE+U.

Lattice parameters (Å, degrees): 10.1759 10.1759 10.1759 32.28 32.28 32.28
Fractional positions:
Ba: 0.0000 0.0000 0.0000
Nb: 0.8689 0.8689 0.8689
Nb: 0.1311 0.1311 0.1311
V: 0.6000 0.6000 0.6000
V: 0.4000 0.4000 0.4000
O: 0.5000 0.0000 0.0000
O: 0.0000 0.5000 0.0000
O: 0.0000 0.0000 0.5000
O: 0.7548 0.7548 0.2377
O: 0.2377 0.7548 0.7548
O: 0.7548 0.2377 0.7548
O: 0.2452 0.2452 0.7623
O: 0.7623 0.2452 0.2452
O: 0.2452 0.7623 0.2452
O: 0.6581 0.6581 0.6581
O: 0.3419 0.3419 0.3419

Values from the calculation:
* symmetry: R-3m



# 9
A geometry-optimized BaNdNi4O12 structure. Source: the Materials Project, functional PBE+U.

Lattice parameters (Å, degrees): 5.4779 5.4779 7.7359 90.00 90.00 90.00
Fractional positions:
Ba: 0.5000 0.5000 0.0000
Nd: 0.0000 0.0000 0.5000
Ni: 0.0000 0.5000 0.7492
Ni: 0.0000 0.5000 0.2508
Ni: 0.5000 0.0000 0.7492
Ni: 0.5000 0.0000 0.2508
O: 0.2331 0.2331 0.7324
O: 0.2331 0.2331 0.2676
O: 0.7669 0.7669 0.7324
O: 0.7669 0.7669 0.2676
O: 0.7669 0.2331 0.7324
O: 0.7669 0.2331 0.2676
O: 0.2331 0.7669 0.2676
O: 0.2331 0.7669 0.7324
O: 0.0000 0.5000 0.5000
O: 0.0000 0.5000 0.0000
O: 0.5000 0.0000 0.5000
O: 0.5000 0.0000 0.0000

Values from the calculation:
* symmetry: P4/mmm



# 10
A geometry-optimized BaSrNdVO6 structure. Source: the Materials Project, functional PBE+U.

Lattice parameters (Å, degrees): 8.4232 8.3955 8.4036 90.00 90.00 90.00
Fractional positions:
Ba: 0.0000 0.0000 0.0000
Ba: 0.5000 0.5000 0.5000
Ba: 0.5000 0.0000 0.5000
Ba: 0.5000 0.0000 0.0000
Sr: 0.0000 0.5000 0.5000
Sr: 0.5000 0.5000 0.0000
Sr: 0.0000 0.5000 0.0000
Sr: 0.0000 0.0000 0.5000
Nd: 0.7521 0.7469 0.7512
Nd: 0.2479 0.2531 0.7512
Nd: 0.2479 0.7469 0.2488
Nd: 0.7521 0.2531 0.2488
V: 0.2464 0.2515 0.2520
V: 0.7536 0.7485 0.2520
V: 0.7536 0.2515 0.7480
V: 0.2464 0.7485 0.7480
O: 0.0230 0.2192 0.2800
O: 0.9770 0.7808 0.2800
O: 0.9770 0.2192 0.7200
O: 0.0230 0.7808 0.7200
O: 0.2705 0.0270 0.2261
O: 0.2705 0.9730 0.7739
O: 0.7295 0.9730 0.2261
O: 0.7295 0.0270 0.7739
O: 0.2171 0.2813 0.0254
O: 0.7829 0.2813 0.9746
O: 0.2171 0.7187 0.9746
O: 0.7829 0.7187 0.0254
O: 0.4737 0.2824 0.2220
O: 0.5263 0.7176 0.2220
O: 0.5263 0.2824 0.7780
O: 0.4737 0.7176 0.7780
O: 0.2163 0.4759 0.2812
O: 0.2163 0.5241 0.7188
O: 0.7837 0.5241 0.2812
O: 0.7837 0.4759 0.7188
O: 0.2740 0.2297 0.4749
O: 0.7260 0.2297 0.5251
O: 0.2740 0.7703 0.5251
O: 0.7260 0.7703 0.4749

Values from the calculation:
* distance to the lowest polymorph of the same formula: 0.000 eV per atom
* symmetry: P222



# 11
A geometry-optimized BaSrNdVO6 structure. Source: the Materials Project, functional PBE+U.

Lattice parameters (Å, degrees): 5.9694 5.9694 5.9694 60.00 60.00 60.00
Fractional positions:
Ba: 0.7500 0.7500 0.7500
Sr: 0.2500 0.2500 0.2500
Nd: 0.0000 0.0000 0.0000
V: 0.5000 0.5000 0.5000
O: 0.7261 0.2739 0.2739
O: 0.2739 0.7261 0.7261
O: 0.7261 0.2739 0.7261
O: 0.2739 0.7261 0.2739
O: 0.7261 0.7261 0.2739
O: 0.2739 0.2739 0.7261

Values from the calculation:
* distance to the lowest polymorph of the same formula: 0.014 eV per atom
* symmetry: F-43m



Total energy after the MP2020 corrections per entry: -6.04, -7.89, -7.79, -7.91, -7.03, -8.15, -8.10, -8.79, -6.01, -7.78, -7.77 eV/atom
Calculated formation energy per entry: -20.34, -28.22, -27.23, -28.39, -79.03, -29.19, -45.19, -45.88, -19.07, -30.69, -30.55 eV/f.u.
Spin magnetization per entry: 0.083, 0.000, 0.000, 0.000, 0.000, 0.000, 0.000, 0.000, 0.652, 0.000, 0.000 μB/atom